# 1
! NaAgH2S2O4 | the Materials Project database | PBE-GGA | relaxed; values from VASP
&SYSTEM
  ibrav = 0, nat = 40, ntyp = 5
/
ATOMIC_SPECIES
S 32.06 S.upf
H 1.01 H.upf
O 16.00 O.upf
Na 22.99 Na.upf
Ag 107.87 Ag.upf
CELL_PARAMETERS angstrom
0.0085 0.0000 7.8252
7.7506 0.0000 -0.8940
0.0000 9.4231 0.0000
ATOMIC_POSITIONS crystal
S 0.7885 0.1867 0.9167
S 0.3601 0.1710 0.2972
S 0.8601 0.1710 0.7028
S 0.3956 0.6680 0.6996
S 0.9521 0.6755 0.0827
S 0.2885 0.1867 0.0833
S 0.8956 0.6680 0.3004
S 0.4521 0.6755 0.9173
H 0.4548 0.6183 0.2943
H 0.3285 0.2427 0.7172
H 0.8174 0.7482 0.7013
H 0.3174 0.7482 0.2987
H 0.9791 0.1351 0.3098
H 0.8285 0.2427 0.2828
H 0.9548 0.6183 0.7057
H 0.4791 0.1351 0.6902
O 0.3554 0.1233 0.7133
O 0.2052 0.1993 0.3826
O 0.3314 0.6249 0.3058
O 0.0038 0.3059 0.6788
O 0.7052 0.1993 0.6174
O 0.2150 0.7045 0.6805
O 0.0188 0.7977 0.3692
O 0.4152 0.4906 0.6498
O 0.8314 0.6249 0.6942
O 0.7150 0.7045 0.3195
O 0.5038 0.3059 0.3212
O 0.4077 0.9957 0.3236
O 0.5188 0.7977 0.6308
O 0.8554 0.1233 0.2867
O 0.9077 0.9957 0.6764
O 0.9152 0.4906 0.3502
Na 0.1695 0.9585 0.5559
Na 0.6695 0.9585 0.4441
Na 0.6636 0.4629 0.5129
Na 0.1636 0.4629 0.4871
Ag 0.4997 0.9995 0.9554
Ag 0.9997 0.9995 0.0446
Ag 0.2069 0.4962 0.0616
Ag 0.7069 0.4962 0.9384
! Space-group type ... Pc, No. 7
! Spin magnetization ... 0.00 μB/f.u.

***

# 2
! AgH14O8 | the Materials Project database | PBE-GGA | relaxed; values from VASP
&SYSTEM
  ibrav = 0, nat = 92, ntyp = 3
/
ATOMIC_SPECIES
Ag 107.87 Ag.upf
H 1.01 H.upf
O 16.00 O.upf
CELL_PARAMETERS angstrom
-15.3637 -1.1025 -6.5050
2.1702 -4.9351 -4.2893
-1.5546 -5.0843 4.5335
ATOMIC_POSITIONS crystal
Ag 0.2456 0.5261 0.4660
Ag 0.7456 0.9739 0.5340
Ag 0.2544 0.0261 0.4660
Ag 0.7544 0.4739 0.5340
H 0.0825 0.0752 0.3651
H 0.5562 0.9219 0.6480
H 0.7225 0.7186 0.8674
H 0.1800 0.2723 0.1954
H 0.4175 0.5752 0.3651
H 0.0584 0.5329 0.6531
H 0.8739 0.0810 0.1016
H 0.5861 0.4586 0.3991
H 0.2775 0.2814 0.1326
H 0.3865 0.1850 0.9243
H 0.1135 0.6850 0.9243
H 0.5825 0.4248 0.6349
H 0.1261 0.9190 0.8984
H 0.9139 0.9586 0.3991
H 0.5584 0.9671 0.3469
H 0.6466 0.3169 0.2163
H 0.6800 0.2277 0.8046
H 0.7820 0.2270 0.2497
H 0.4051 0.2593 0.4543
H 0.4528 0.8354 0.1662
H 0.5862 0.3227 0.9761
H 0.0949 0.7593 0.4543
H 0.8534 0.8169 0.2163
H 0.8865 0.3150 0.0757
H 0.9438 0.4219 0.6480
H 0.9175 0.9248 0.6349
H 0.5494 0.1511 0.2002
H 0.2180 0.7730 0.7503
H 0.9506 0.6511 0.2002
H 0.3200 0.7723 0.1954
H 0.0861 0.0414 0.6009
H 0.1466 0.1831 0.7837
H 0.4416 0.0329 0.6531
H 0.5949 0.7407 0.5457
H 0.8200 0.7277 0.8046
H 0.7775 0.2186 0.8674
H 0.4138 0.6773 0.0239
H 0.6135 0.8150 0.0757
H 0.2820 0.2730 0.7503
H 0.9138 0.8227 0.9761
H 0.2225 0.7814 0.1326
H 0.9528 0.6646 0.8338
H 0.0562 0.5781 0.3520
H 0.9051 0.2407 0.5457
H 0.6261 0.5810 0.1016
H 0.0862 0.1773 0.0239
H 0.4438 0.0781 0.3520
H 0.0472 0.3354 0.1662
H 0.3739 0.4190 0.8984
H 0.5472 0.1646 0.8338
H 0.4139 0.5414 0.6009
H 0.9416 0.4671 0.3469
H 0.4506 0.8489 0.7998
H 0.7180 0.7270 0.2497
H 0.3534 0.6831 0.7837
H 0.0494 0.3489 0.7998
O 0.7606 0.7300 0.3516
O 0.4126 0.7306 0.1634
O 0.7615 0.7198 0.7574
O 0.8463 0.2128 0.0603
O 0.5984 0.5153 0.5266
O 0.7385 0.2198 0.7574
O 0.7394 0.2300 0.3516
O 0.9044 0.8784 0.1755
O 0.0984 0.9847 0.4734
O 0.9037 0.3879 0.5502
O 0.4687 0.9876 0.7770
O 0.9687 0.5124 0.2230
O 0.6537 0.7128 0.0603
O 0.4037 0.1121 0.4498
O 0.3463 0.2872 0.9397
O 0.2394 0.2700 0.6484
O 0.5313 0.0124 0.2230
O 0.9016 0.0153 0.5266
O 0.2385 0.2802 0.2426
O 0.4016 0.4847 0.4734
O 0.5874 0.2694 0.8366
O 0.2615 0.7802 0.2426
O 0.0956 0.1216 0.8245
O 0.4044 0.6216 0.8245
O 0.2606 0.7700 0.6484
O 0.0874 0.2306 0.1634
O 0.5963 0.8879 0.5502
O 0.9126 0.7694 0.8366
O 0.1537 0.7872 0.9397
O 0.0963 0.6121 0.4498
O 0.5956 0.3784 0.1755
O 0.0313 0.4876 0.7770
! Space-group type ... P2_1/c, No. 14

***

# 3
! Ag2H16O9 | the Materials Project database | PBE-GGA | relaxed; values from VASP
&SYSTEM
  ibrav = 0, nat = 108, ntyp = 3
/
ATOMIC_SPECIES
O 16.00 O.upf
H 1.01 H.upf
Ag 107.87 Ag.upf
CELL_PARAMETERS angstrom
12.6625 0.0000 0.0000
0.0000 6.6503 0.0000
0.0000 2.9123 11.5607
ATOMIC_POSITIONS crystal
O 0.8689 0.4088 0.0236
O 0.0525 0.9182 0.6768
O 0.5153 0.5173 0.2168
O 0.9847 0.5173 0.7168
O 0.7600 0.7636 0.1402
O 0.7596 0.2455 0.7953
O 0.6147 0.6349 0.9184
O 0.0153 0.4827 0.2832
O 0.6196 0.0836 0.0546
O 0.3853 0.3651 0.0816
O 0.5525 0.0818 0.8232
O 0.1311 0.5912 0.9764
O 0.8804 0.0836 0.5546
O 0.5329 0.7495 0.5721
O 0.3689 0.5912 0.4764
O 0.1147 0.3651 0.5816
O 0.9475 0.0818 0.3232
O 0.1196 0.9164 0.4454
O 0.2400 0.2364 0.8598
O 0.4475 0.9182 0.1768
O 0.4847 0.4827 0.7832
O 0.8853 0.6349 0.4184
O 0.7400 0.7636 0.6402
O 0.2404 0.7545 0.2047
O 0.6032 0.9138 0.3616
O 0.3804 0.9164 0.9454
O 0.2600 0.2364 0.3598
O 0.3968 0.0862 0.6384
O 0.0329 0.2505 0.9279
O 0.9671 0.7495 0.0721
O 0.4671 0.2505 0.4279
O 0.6311 0.4088 0.5236
O 0.2596 0.7545 0.7047
O 0.8968 0.9138 0.8616
O 0.1032 0.0862 0.1384
O 0.7404 0.2455 0.2953
H 0.4977 0.4305 0.2960
H 0.6006 0.0955 0.9726
H 0.5056 0.1381 0.4054
H 0.9944 0.1381 0.9054
H 0.3152 0.8018 0.1945
H 0.3356 0.2207 0.3852
H 0.4266 0.1543 0.5582
H 0.0542 0.9679 0.3991
H 0.0964 0.4785 0.9502
H 0.1848 0.8018 0.6945
H 0.5858 0.0153 0.7677
H 0.8152 0.1982 0.3055
H 0.0023 0.4305 0.7960
H 0.4037 0.2182 0.0910
H 0.6848 0.1982 0.8055
H 0.0517 0.1031 0.1982
H 0.9274 0.3379 0.9903
H 0.0858 0.9847 0.7323
H 0.5963 0.7818 0.9090
H 0.5622 0.5769 0.8711
H 0.3994 0.9045 0.0274
H 0.9378 0.5769 0.3711
H 0.4142 0.9847 0.2323
H 0.1949 0.8772 0.1751
H 0.5726 0.3379 0.4903
H 0.9483 0.8969 0.8018
H 0.2190 0.1103 0.3964
H 0.6949 0.1228 0.3249
H 0.5092 0.3370 0.7885
H 0.4458 0.9679 0.8991
H 0.9037 0.7818 0.4090
H 0.7190 0.8897 0.1036
H 0.1006 0.9045 0.5274
H 0.5542 0.0321 0.1009
H 0.5517 0.8969 0.3018
H 0.4944 0.8619 0.5946
H 0.0622 0.4231 0.6289
H 0.8051 0.1228 0.8249
H 0.4274 0.6621 0.5097
H 0.5734 0.8457 0.4418
H 0.9458 0.0321 0.6009
H 0.4378 0.4231 0.1289
H 0.0734 0.1543 0.0582
H 0.9142 0.0153 0.2677
H 0.2810 0.1103 0.8964
H 0.0726 0.6621 0.0097
H 0.0056 0.8619 0.0946
H 0.5964 0.5215 0.5498
H 0.1644 0.2207 0.8852
H 0.9266 0.8457 0.9418
H 0.9908 0.3370 0.2885
H 0.4908 0.6630 0.2115
H 0.4483 0.1031 0.6982
H 0.7810 0.8897 0.6036
H 0.3051 0.8772 0.6751
H 0.0963 0.2182 0.5910
H 0.9977 0.5695 0.2040
H 0.9036 0.5215 0.0498
H 0.8994 0.0955 0.4726
H 0.8356 0.7793 0.1148
H 0.4036 0.4785 0.4502
H 0.6644 0.7793 0.6148
H 0.5023 0.5695 0.7040
H 0.0092 0.6630 0.7115
Ag 0.3212 0.5832 0.8999
Ag 0.7088 0.5940 0.3351
Ag 0.2912 0.4060 0.6649
Ag 0.1788 0.5832 0.3999
Ag 0.7912 0.5940 0.8351
Ag 0.8212 0.4168 0.6001
Ag 0.6788 0.4168 0.1001
Ag 0.2088 0.4060 0.1649
! Space-group type ... P2_1/c, No. 14
! Spin magnetization ... 0.00 μB/f.u.

***

# 4
! AgH8O5 | the Materials Project database | PBE-GGA | relaxed; values from VASP
&SYSTEM
  ibrav = 0, nat = 56, ntyp = 3
/
ATOMIC_SPECIES
O 16.00 O.upf
H 1.01 H.upf
Ag 107.87 Ag.upf
CELL_PARAMETERS angstrom
-0.0811 2.0716 -5.9617
-4.7454 -4.1433 -1.3752
-8.8106 9.0118 3.2513
ATOMIC_POSITIONS crystal
O 0.2445 0.4896 0.0030
O 0.7555 0.9896 0.4970
O 0.2899 0.7300 0.1656
O 0.2368 0.9151 0.3581
O 0.7899 0.7700 0.8344
O 0.2632 0.0849 0.8581
O 0.8038 0.1650 0.6992
O 0.7429 0.3912 0.8994
O 0.2555 0.5104 0.5030
O 0.7632 0.4151 0.1419
O 0.2571 0.8912 0.6006
O 0.7101 0.2300 0.3344
O 0.3038 0.3350 0.3008
O 0.1962 0.6650 0.8008
O 0.6962 0.8350 0.1992
O 0.7571 0.6088 0.3994
O 0.2429 0.1088 0.1006
O 0.7445 0.0104 0.9970
O 0.2101 0.2700 0.6656
O 0.7368 0.5849 0.6419
H 0.2988 0.4695 0.2657
H 0.5419 0.7980 0.1890
H 0.9581 0.2020 0.6890
H 0.7794 0.5626 0.1595
H 0.7561 0.6254 0.8622
H 0.2416 0.5650 0.9369
H 0.2584 0.4350 0.4369
H 0.2439 0.1254 0.6378
H 0.7439 0.3746 0.3622
H 0.7554 0.6975 0.3377
H 0.7416 0.9350 0.0631
H 0.0419 0.7020 0.8110
H 0.7988 0.0305 0.7343
H 0.2318 0.8382 0.2930
H 0.2554 0.8025 0.6623
H 0.2012 0.5305 0.7657
H 0.7682 0.3382 0.2070
H 0.4581 0.2980 0.3110
H 0.7584 0.0650 0.5631
H 0.7446 0.3025 0.8377
H 0.2561 0.8746 0.1378
H 0.7692 0.8644 0.8962
H 0.2682 0.1618 0.7930
H 0.2446 0.1975 0.1623
H 0.2308 0.3644 0.6038
H 0.7206 0.4374 0.6595
H 0.2794 0.9374 0.8405
H 0.2206 0.0626 0.3405
H 0.7318 0.6618 0.7070
H 0.2692 0.6356 0.1038
H 0.7308 0.1356 0.3962
H 0.7012 0.9695 0.2343
Ag 0.5050 0.7508 0.4997
Ag 0.4950 0.2508 0.0003
Ag 0.9950 0.2492 0.9997
Ag 0.0050 0.7492 0.5003
! Space-group type ... P2_12_12_1, No. 19
! Spin magnetization ... 1.08 μB/f.u.

***

# 5
! Ag2H4S3O12 | the Materials Project database | PBE-GGA | relaxed; values from VASP
&SYSTEM
  ibrav = 0, nat = 84, ntyp = 4
/
ATOMIC_SPECIES
O 16.00 O.upf
Ag 107.87 Ag.upf
S 32.06 S.upf
H 1.01 H.upf
CELL_PARAMETERS angstrom
7.1960 0.0000 0.0000
0.0000 10.3522 0.0000
0.0000 0.0000 14.1927
ATOMIC_POSITIONS crystal
O 0.9349 0.5434 0.2033
O 0.0841 0.8537 0.9147
O 0.5841 0.6463 0.4147
O 0.3745 0.3558 0.6762
O 0.8657 0.1938 0.9299
O 0.6159 0.1612 0.0612
O 0.7935 0.6974 0.7767
O 0.3841 0.8388 0.5612
O 0.6429 0.0062 0.4400
O 0.3571 0.9938 0.9400
O 0.3657 0.3062 0.4299
O 0.6255 0.6442 0.1762
O 0.9159 0.1463 0.4147
O 0.6819 0.4960 0.8348
O 0.7065 0.1974 0.7767
O 0.8376 0.7164 0.5202
O 0.1159 0.3388 0.5612
O 0.2065 0.3026 0.2767
O 0.8181 0.9960 0.8348
O 0.1322 0.9542 0.0675
O 0.2246 0.0463 0.5861
O 0.0434 0.1648 0.7850
O 0.5651 0.0434 0.2033
O 0.5434 0.3352 0.2850
O 0.1343 0.8062 0.4299
O 0.8571 0.5062 0.4400
O 0.3678 0.4542 0.0675
O 0.7246 0.4537 0.0861
O 0.2754 0.5463 0.5861
O 0.4349 0.9566 0.7033
O 0.8678 0.0458 0.5675
O 0.1624 0.2836 0.0202
O 0.7754 0.9537 0.0861
O 0.2935 0.8026 0.2767
O 0.1429 0.4938 0.9400
O 0.8841 0.6612 0.0612
O 0.1255 0.8558 0.6762
O 0.9566 0.8352 0.2850
O 0.1819 0.0040 0.3348
O 0.0651 0.4566 0.7033
O 0.6343 0.6938 0.9299
O 0.6624 0.2164 0.5202
O 0.4566 0.6648 0.7850
O 0.3376 0.7836 0.0202
O 0.8745 0.1442 0.1762
O 0.3181 0.5040 0.3348
O 0.4159 0.3537 0.9147
O 0.6322 0.5458 0.5675
Ag 0.2474 0.1298 0.1631
Ag 0.1235 0.6560 0.8108
Ag 0.7474 0.3702 0.6631
Ag 0.3765 0.1560 0.8108
Ag 0.6235 0.8440 0.3108
Ag 0.7526 0.8702 0.6631
Ag 0.8765 0.3440 0.3108
Ag 0.2526 0.6298 0.1631
S 0.2869 0.9217 0.6387
S 0.7869 0.5783 0.1387
S 0.1356 0.8541 0.3304
S 0.2131 0.4217 0.6387
S 0.6356 0.6459 0.8304
S 0.3644 0.3541 0.3304
S 0.2250 0.9046 0.9812
S 0.7750 0.0954 0.4812
S 0.8644 0.1459 0.8304
S 0.7131 0.0783 0.1387
S 0.2750 0.4046 0.9812
S 0.7250 0.5954 0.4812
H 0.0819 0.0499 0.5795
H 0.5800 0.4444 0.8670
H 0.9200 0.9444 0.8670
H 0.7044 0.1770 0.0058
H 0.5504 0.2400 0.4804
H 0.0800 0.0556 0.3670
H 0.7956 0.6770 0.0058
H 0.9181 0.9501 0.0795
H 0.2044 0.3230 0.5058
H 0.0504 0.2600 0.9804
H 0.2956 0.8230 0.5058
H 0.5819 0.4501 0.0795
H 0.9496 0.7400 0.4804
H 0.4200 0.5556 0.3670
H 0.4496 0.7600 0.9804
H 0.4181 0.5499 0.5795
! Space-group type ... Pna2_1, No. 33
! Spin magnetization ... 0.00 μB/f.u.

***

# 6
! Hf2Ag | the Materials Project database | PBE-GGA | relaxed; values from VASP
&SYSTEM
  ibrav = 0, nat = 3, ntyp = 2
/
ATOMIC_SPECIES
Hf 178.49 Hf.upf
Ag 107.87 Ag.upf
CELL_PARAMETERS angstrom
-0.6999 -1.4379 2.7947
0.9939 -2.8174 -1.2007
5.4333 3.2538 1.1799
ATOMIC_POSITIONS crystal
Hf 0.3345 0.3345 0.6689
Hf 0.6655 0.6655 0.3311
Ag 0.0000 0.0000 0.0000
! Space-group type ... I4/mmm, No. 139

***

# 7
! Hf4AgPd | the Materials Project database | PBE-GGA | relaxed; values from VASP
&SYSTEM
  ibrav = 0, nat = 6, ntyp = 3
/
ATOMIC_SPECIES
Hf 178.49 Hf.upf
Pd 106.42 Pd.upf
Ag 107.87 Ag.upf
CELL_PARAMETERS angstrom
-0.3600 2.7959 -1.6052
-3.1426 -0.6649 -0.4533
-2.5483 5.3282 9.8519
ATOMIC_POSITIONS crystal
Hf 0.0000 0.0000 0.3461
Hf 0.5000 0.5000 0.8294
Hf 0.0000 0.0000 0.6539
Hf 0.5000 0.5000 0.1706
Pd 0.5000 0.5000 0.5000
Ag 0.0000 0.0000 0.0000
! Space-group type ... P4/mmm, No. 123

***

# 8
! Ag2Hg5 | the Materials Project database | PBE-GGA | relaxed; values from VASP
&SYSTEM
  ibrav = 0, nat = 14, ntyp = 2
/
ATOMIC_SPECIES
Hg 200.59 Hg.upf
Ag 107.87 Ag.upf
CELL_PARAMETERS angstrom
-3.4665 9.1957 2.9585
-8.9350 -1.8577 -4.6952
-1.1055 -1.2531 2.5996
ATOMIC_POSITIONS crystal
Hg 0.7987 0.9371 0.0000
Hg 0.0629 0.7987 0.0000
Hg 0.5629 0.7013 0.0000
Hg 0.4371 0.2987 0.0000
Hg 0.0000 0.5000 0.0000
Hg 0.2013 0.0629 0.0000
Hg 0.7013 0.4371 0.0000
Hg 0.2987 0.5629 0.0000
Hg 0.5000 0.0000 0.0000
Hg 0.9371 0.2013 0.0000
Ag 0.6809 0.1809 0.5000
Ag 0.8191 0.6809 0.5000
Ag 0.1809 0.3191 0.5000
Ag 0.3191 0.8191 0.5000
! Space-group type ... P4/mbm, No. 127
! Spin magnetization ... 0.00 μB/f.u.

***

Computed ΔH_f (0 K), in the same sequence as the records: -1.363; -1.140; -1.098; -1.083; -1.451; -0.119; -0.321; 0.080 eV/atom.
Computed VASP energy, in the same sequence as the records: -4.989; -4.810; -4.739; -4.746; -5.393; -7.701; -8.295; -0.946 eV/atom.